# 1
The following is a DFT calculation (PBE) of crystalline Mg3Cu2P3O12 at its relaxed geometry.

It has space group C2/c (No. 15), with a = 11.825 Å, b = 12.653 Å, c = 6.479 Å, α = 90.00°, β = 117.50° and γ = 90.00°. Symmetry generates all atoms from Mg at (0.000, 0.230, 0.250), Mg at (0.216, 0.342, 0.130), Cu at (0.000, 0.000, 0.000), Cu at (0.000, 0.497, 0.750), P at (0.000, 0.200, 0.750), P at (0.227, 0.391, 0.627), O at (0.047, 0.269, 0.970), O at (0.097, 0.122, 0.726), O at (0.128, 0.092, 0.299), O at (0.152, 0.499, 0.576), O at (0.162, 0.330, 0.392) and O at (0.216, 0.327, 0.816).

Its formation enthalpy at 0 K is -246.6 kJ/mol of atoms. The calculation puts the magnetization at 1.000 μB per formula unit. The total energy comes out at -0.242 hartree per atom. The calculation puts the volume at 10.748 Å³ per atom.

=====

# 2
The following is a DFT calculation (PBE) of crystalline CeCo5H3 at its relaxed geometry.

It has space group Cccm (No. 66), with a = 5.072 Å, b = 8.731 Å, c = 8.037 Å, α = 90.00°, β = 90.00° and γ = 90.00°. Symmetry generates all atoms from Ce at (0.000, 0.000, 0.000), Co at (0.000, 0.500, 0.250), Co at (0.056, 0.352, 0.000), Co at (0.250, 0.250, 0.267), H at (0.000, 0.136, 0.250) and H at (0.250, 0.250, 0.500).

Its formation enthalpy at 0 K is -20.0 kJ/mol of atoms. The calculation puts the magnetization at 4.837 μB per formula unit. The total energy comes out at -0.216 hartree per atom. The calculation puts the volume at 9.886 Å³ per atom.